# 1
A relaxed structure of Sr2GdGaO5. Source: the Materials Project database, functional PBE.

Results
total moment	0.7778	μB/atom
energy with MP2020 corrections	-8.113	eV per atom
formation energy from the elements	-3.088	eV/atom
volume	14.46	Å³/atom

Cell and atoms, written as POSCAR:
```
Sr2GdGaO5
1.0
2.478 -6.016 -1.876
-4.227 -0.042 -5.290
3.055 -0.425 -6.744
Gd Ga Sr O
2 2 4 10
Direct
0.681 0.181 0.000
0.319 0.819 0.000
0.753 0.253 0.493
0.247 0.747 0.507
0.174 0.326 0.000
0.250 0.250 0.500
0.826 0.674 0.000
0.750 0.750 0.500
0.294 0.794 0.716
0.782 0.002 0.716
0.010 0.510 0.284
0.502 0.282 0.716
0.500 0.500 0.000
0.990 0.490 0.716
0.218 0.998 0.284
0.498 0.718 0.284
0.000 0.000 0.000
0.706 0.206 0.284
```

# 2
A relaxed structure of GdGaRh2. Source: the Materials Project database, functional PBE.

Results
formation energy from the elements	-0.755	eV/atom
volume	17.29	Å³/atom

Cell and atoms, written as POSCAR:
```
GdGaRh2
1.0
0.000 3.258 3.258
3.258 0.000 3.258
3.258 3.258 0.000
Ga Gd Rh
1 1 2
Direct
0.500 0.500 0.500
0.000 0.000 0.000
0.250 0.250 0.250
0.750 0.750 0.750
```